(1)
Entry from the Materials Project: Rb3Ti3P5O20 after structural relaxation (PBE-GGA).

raw total energy = -7.4628 eV per atom
energy relative to the elements = -2.98 eV/atom

Lattice parameters (Å, degrees): 6.3767 15.0383 18.6235 90.00 90.00 90.00
Last column: nearest neighbours and their distance in Å.
Fractional positions:
Ti  0.2516  0.4432  0.8532  6 O 1.91-2.00
O  0.7450  0.0232  0.2328  1 P 1.55
P  0.8575  0.5962  0.2231  4 O 1.50-1.63
O  0.4423  0.5753  0.0403  1 P 1.56
O  0.9419  0.3248  0.5463  1 P 1.55
O  0.7417  0.3397  0.2865  1 P 1.55
Rb  0.3671  0.1691  0.1526  5 O 2.80-3.13
O  0.9075  0.0936  0.7776  1 P 1.50
Rb  0.3429  0.9453  0.3244  3 O 2.88-3.02
Rb  0.6571  0.9453  0.8244  3 O 2.88-3.02
P  0.1441  0.2876  0.7265  4 O 1.50-1.63
O  0.7515  0.4524  0.0695  2 Ti 1.82-1.83
O  0.5573  0.3262  0.5496  1 P 1.55
O  0.7388  0.0439  0.0797  1 P 1.56
P  0.8575  0.0962  0.2769  4 O 1.50-1.63
O  0.7417  0.8397  0.2135  1 P 1.55
P  0.2541  0.5994  0.9908  4 O 1.53-1.56
Rb  0.3658  0.2239  0.3509  5 O 2.83-3.07
O  0.7513  0.6030  0.1484  1 P 1.55
Ti  0.2449  0.0696  0.9548  5 O 1.82-2.00
O  0.7467  0.8097  0.3453  1 P 1.54
O  0.0925  0.0936  0.2776  1 P 1.50
Rb  0.3671  0.6691  0.3474  5 O 2.80-3.13
Ti  0.7484  0.4432  0.3532  6 O 1.91-2.00
O  0.7401  0.8592  0.0683  1 P 1.55
O  0.2583  0.3397  0.7865  1 P 1.55
O  0.5577  0.0753  0.9597  1 P 1.56
O  0.7494  0.0334  0.5581  1 P 1.54
Rb  0.6329  0.6691  0.8474  5 O 2.80-3.13
O  0.9519  0.9445  0.6490  1 P 1.55
O  0.5643  0.9438  0.6535  1 P 1.55
Rb  0.6342  0.7239  0.6491  5 O 2.83-3.07
O  0.9094  0.7921  0.7729  1 P 1.50
Ti  0.2449  0.8326  0.9492  5 O 1.83-2.00
O  0.7513  0.1030  0.3516  1 P 1.55
O  0.9075  0.5936  0.7224  1 P 1.50
O  0.2487  0.6030  0.6484  1 P 1.55
O  0.2533  0.8097  0.8453  1 P 1.54
O  0.7467  0.3097  0.1547  1 P 1.54
Ti  0.2449  0.5696  0.5452  5 O 1.82-2.00
O  0.9094  0.2921  0.7271  1 P 1.50
O  0.2585  0.6985  0.9717  1 P 1.53
P  0.7461  0.3018  0.5008  4 O 1.53-1.55
O  0.2550  0.0232  0.7328  1 P 1.55
O  0.9420  0.0765  0.9636  1 P 1.55
P  0.2539  0.3018  0.0008  4 O 1.53-1.55
O  0.0906  0.2921  0.2271  1 P 1.50
O  0.7717  0.1858  0.2370  2 P 1.63
O  0.2550  0.5232  0.7672  1 P 1.55
O  0.2487  0.1030  0.8516  1 P 1.55
O  0.0580  0.5765  0.0364  1 P 1.55
P  0.7459  0.0994  0.0092  4 O 1.53-1.56
O  0.0580  0.0765  0.4636  1 P 1.55
Rb  0.6329  0.1691  0.6526  5 O 2.80-3.13
O  0.2283  0.1858  0.7370  2 P 1.63
O  0.0481  0.9445  0.1490  1 P 1.55
P  0.1425  0.0962  0.7769  4 O 1.50-1.63
O  0.2498  0.8620  0.0537  1 P 1.54
O  0.7450  0.5232  0.2672  1 P 1.55
P  0.7461  0.8018  0.9992  4 O 1.53-1.55
O  0.7515  0.9524  0.4305  2 Ti 1.82-1.83
P  0.2468  0.9461  0.1012  4 O 1.54-1.55
O  0.7502  0.8620  0.5537  1 P 1.54
Rb  0.3429  0.4453  0.1756  3 O 2.88-3.02
Ti  0.7551  0.3326  0.0508  5 O 1.83-2.00
O  0.7502  0.3620  0.9463  1 P 1.54
O  0.7415  0.2029  0.4816  1 P 1.53
P  0.8559  0.2876  0.2265  4 O 1.50-1.63
P  0.2539  0.8018  0.4992  4 O 1.53-1.55
O  0.0481  0.4445  0.3510  1 P 1.55
O  0.2585  0.7029  0.5184  1 P 1.53
O  0.0925  0.5936  0.2224  1 P 1.50
O  0.5573  0.8262  0.9504  1 P 1.55
P  0.7532  0.4461  0.8988  4 O 1.54-1.55
P  0.7532  0.9461  0.6012  4 O 1.54-1.55
O  0.7415  0.1985  0.0283  1 P 1.53
O  0.2485  0.4524  0.5695  2 Ti 1.82-1.83
O  0.0581  0.8248  0.4537  1 P 1.55
O  0.2498  0.3620  0.4463  1 P 1.54
O  0.2612  0.5439  0.9203  1 P 1.56
Ti  0.2516  0.9432  0.6468  6 O 1.91-2.00
O  0.9420  0.5765  0.5364  1 P 1.55
Ti  0.7484  0.9432  0.1468  6 O 1.91-2.00
O  0.2585  0.2029  0.9816  1 P 1.53
Ti  0.7551  0.5696  0.0452  5 O 1.82-2.00
Ti  0.2449  0.3326  0.5508  5 O 1.83-2.00
O  0.2506  0.0334  0.0581  1 P 1.54
O  0.9419  0.8248  0.9537  1 P 1.55
O  0.4427  0.3262  0.0496  1 P 1.55
P  0.7459  0.5994  0.4908  4 O 1.53-1.56
O  0.2506  0.5334  0.4419  1 P 1.54
O  0.7401  0.3592  0.4317  1 P 1.55
Ti  0.7551  0.8326  0.4492  5 O 1.83-2.00
O  0.7415  0.6985  0.4717  1 P 1.53
P  0.1425  0.5962  0.7231  4 O 1.50-1.63
Ti  0.7551  0.0696  0.4548  5 O 1.82-2.00
O  0.4427  0.8262  0.4504  1 P 1.55
O  0.2533  0.3097  0.6547  1 P 1.54
O  0.4357  0.4438  0.3465  1 P 1.55
P  0.2468  0.4461  0.3988  4 O 1.54-1.55
O  0.2612  0.0439  0.5797  1 P 1.56
P  0.2541  0.0994  0.5092  4 O 1.53-1.56
O  0.2485  0.9524  0.9305  2 Ti 1.82-1.83
O  0.5643  0.4438  0.8465  1 P 1.55
O  0.4423  0.0753  0.4597  1 P 1.56
O  0.2599  0.8592  0.5683  1 P 1.55
Rb  0.6342  0.2239  0.8509  5 O 2.83-3.07
O  0.2283  0.6858  0.7630  2 P 1.63
P  0.1441  0.7876  0.7735  4 O 1.50-1.63
O  0.7494  0.5334  0.9419  1 P 1.54
O  0.7717  0.6858  0.2630  2 P 1.63
O  0.7388  0.5439  0.4203  1 P 1.56
O  0.0581  0.3248  0.0463  1 P 1.55
O  0.5577  0.5753  0.5403  1 P 1.56
Rb  0.6571  0.4453  0.6756  3 O 2.88-3.02
O  0.0906  0.7921  0.2729  1 P 1.50
O  0.2583  0.8397  0.7135  1 P 1.55
O  0.9519  0.4445  0.8510  1 P 1.55
P  0.8559  0.7876  0.2735  4 O 1.50-1.63
Rb  0.3658  0.7239  0.1491  5 O 2.83-3.07
O  0.7415  0.7029  0.0184  1 P 1.53
O  0.4357  0.9438  0.1535  1 P 1.55
O  0.2585  0.1985  0.5283  1 P 1.53
O  0.2599  0.3592  0.9317  1 P 1.55



(2)
Entry from the Materials Project: Rb2Ti3P4O18 after structural relaxation (PBE-GGA).

raw total energy = -7.4534 eV per atom
energy relative to the elements = -2.86 eV/atom

Lattice parameters (Å, degrees): 16.9851 5.3040 10.1122 58.83 90.00 90.00
Last column: nearest neighbours and their distance in Å.
Fractional positions:
O  0.7974  0.8799  0.5266  1 P 1.54
O  0.9069  0.7608  0.3976  1 P 1.52
O  0.5450  0.2137  0.4880  1 P 1.54
Ti  0.0000  0.5000  0.5000  6 O 1.93-2.00
O  0.0205  0.5144  0.3027  1 P 1.55
O  0.7210  0.9263  0.7655  1 P 1.53
O  0.7856  0.4297  0.5091  1 P 1.58
O  0.0720  0.8266  0.4334  2 Ti 1.77-1.93
O  0.4069  0.2392  0.1024  1 P 1.52
Ti  0.3343  0.9557  0.8476  3 O 1.77-1.98
O  0.4550  0.7863  0.5120  1 P 1.54
O  0.2974  0.1201  0.9734  1 P 1.54
O  0.3559  0.8322  0.6938  1 P 1.57
O  0.3692  0.3680  0.6844  1 P 1.57
O  0.2144  0.5703  0.4909  1 P 1.58
O  0.8559  0.1678  0.8062  1 P 1.57
O  0.1308  0.3680  0.1844  1 P 1.57
P  0.6811  0.7556  0.9233  4 O 1.52-1.58
O  0.6441  0.1678  0.3062  1 P 1.57
P  0.0835  0.6321  0.1735  4 O 1.54-1.57
O  0.4795  0.5144  0.8027  1 P 1.55
P  0.8189  0.7556  0.4233  4 O 1.52-1.58
P  0.4165  0.6321  0.6735  4 O 1.54-1.57
O  0.9280  0.1734  0.5666  2 Ti 1.77-1.93
O  0.2026  0.1201  0.4734  1 P 1.54
O  0.1441  0.8322  0.1938  1 P 1.57
O  0.9795  0.4856  0.6973  1 P 1.55
O  0.2210  0.0737  0.7345  1 P 1.53
O  0.0450  0.7863  0.0120  1 P 1.54
Ti  0.1657  0.9557  0.3476  3 O 1.77-1.98
P  0.9165  0.3679  0.8265  4 O 1.54-1.57
Rb  0.3723  0.4679  0.3594  8 O 2.98-3.33
P  0.1811  0.2444  0.5767  4 O 1.52-1.58
O  0.7144  0.4297  0.0091  1 P 1.58
Ti  0.6657  0.0443  0.1524  3 O 1.77-1.98
Ti  0.5000  0.5000  0.0000  6 O 1.93-2.00
O  0.4280  0.8266  0.9334  2 Ti 1.77-1.93
O  0.5205  0.4856  0.1973  1 P 1.55
O  0.0931  0.2392  0.6024  1 P 1.52
O  0.2856  0.5703  0.9909  1 P 1.58
O  0.8692  0.6320  0.8156  1 P 1.57
O  0.7790  0.9263  0.2655  1 P 1.53
Rb  0.6277  0.5321  0.6406  8 O 2.98-3.33
O  0.2790  0.0737  0.2345  1 P 1.53
O  0.5931  0.7608  0.8976  1 P 1.52
O  0.7026  0.8799  0.0266  1 P 1.54
Rb  0.1277  0.4679  0.8594  8 O 2.98-3.33
Rb  0.8723  0.5321  0.1406  8 O 2.98-3.33
O  0.6308  0.6320  0.3156  1 P 1.57
P  0.5835  0.3679  0.3265  4 O 1.54-1.57
Ti  0.8343  0.0443  0.6524  3 O 1.77-1.98
O  0.9550  0.2137  0.9880  1 P 1.54
P  0.3189  0.2444  0.0767  4 O 1.52-1.58
O  0.5720  0.1734  0.0666  2 Ti 1.77-1.93